# GGA-PBE Li9Bi3P8O29, relaxed
data_Li9Bi3P8O29
_space_group_name_H-M_alt 'P -3 c 1'
_space_group_IT_number 165
_space_group_name_Hall '-P 3 2"c'
_cell_length_a 10.3272
_cell_length_b 10.3272
_cell_length_c 14.1636
_cell_angle_alpha 90.00
_cell_angle_beta 90.00
_cell_angle_gamma 120.00
loop_
_atom_site_label
_atom_site_type_symbol
_atom_site_fract_x
_atom_site_fract_y
_atom_site_fract_z
Li1 Li 0.0000 0.0000 0.0000
Li2 Li 0.1057 0.3284 0.0610
Li3 Li 0.3333 0.6667 0.3783
Bi1 Bi 0.0000 0.4386 0.2500
P1 P 0.0892 0.3047 0.8464
P2 P 0.3333 0.6667 0.1104
O1 O 0.0000 0.2221 0.7500
O2 O 0.0057 0.2246 0.5687
O3 O 0.0625 0.2966 0.3472
O4 O 0.1297 0.4700 0.8419
O5 O 0.2061 0.5114 0.1484
O6 O 0.3333 0.6667 0.0042
# Calculated volume: 13.349 Å³ per atom
# Formation energy from the elements: -125.89 eV/f.u.
# M_tot: 0.000 μB per atom

# GGA-PBE LiBiP4O12, relaxed
data_LiBiP4O12
_space_group_name_H-M_alt 'P 1 21/c 1'
_space_group_IT_number 14
_space_group_name_Hall '-P 2ybc'
_cell_length_a 7.268
_cell_length_b 13.481
_cell_length_c 12.339
_cell_angle_alpha 90.00
_cell_angle_beta 125.39
_cell_angle_gamma 90.00
loop_
_atom_site_label
_atom_site_type_symbol
_atom_site_fract_x
_atom_site_fract_y
_atom_site_fract_z
Li1 Li 0.096 0.210 0.045
Bi1 Bi 0.446 0.222 0.927
P1 P 0.032 0.091 0.769
P2 P 0.143 0.623 0.262
P3 P 0.440 0.628 0.799
P4 P 0.477 0.590 0.197
O1 O 0.002 0.023 0.279
O2 O 0.010 0.696 0.153
O3 O 0.128 0.151 0.710
O4 O 0.167 0.100 0.920
O5 O 0.228 0.618 0.805
O6 O 0.228 0.651 0.403
O7 O 0.282 0.122 0.211
O8 O 0.335 0.651 0.071
O9 O 0.367 0.584 0.277
O10 O 0.369 0.642 0.658
O11 O 0.411 0.206 0.599
O12 O 0.440 0.023 0.643
# Calculated volume: 13.688 Å³ per atom
# Energy above the lowest structure with this stoichiometry: 123 kJ/mol of formula units
# Formation energy from the elements: -44.90 eV/f.u.
# M_tot: 0.000 μB per atom

# GGA-PBE LiBiP4O12, relaxed
data_LiBiP4O12
_space_group_name_H-M_alt 'P 1 21/c 1'
_space_group_IT_number 14
_space_group_name_Hall '-P 2ybc'
_cell_length_a 10.377
_cell_length_b 9.202
_cell_length_c 12.909
_cell_angle_alpha 90.00
_cell_angle_beta 127.02
_cell_angle_gamma 90.00
loop_
_atom_site_label
_atom_site_type_symbol
_atom_site_fract_x
_atom_site_fract_y
_atom_site_fract_z
Li1 Li 0.157 0.066 0.158
Bi1 Bi 0.190 0.717 0.994
P1 P 0.109 0.102 0.848
P2 P 0.199 0.169 0.541
P3 P 0.304 0.604 0.315
P4 P 0.498 0.008 0.738
O1 O 0.019 0.692 0.766
O2 O 0.054 0.519 0.392
O3 O 0.105 0.239 0.582
O4 O 0.138 0.031 0.462
O5 O 0.196 0.655 0.176
O6 O 0.228 0.211 0.967
O7 O 0.237 0.048 0.827
O8 O 0.329 0.557 0.683
O9 O 0.348 0.703 0.424
O10 O 0.382 0.149 0.670
O11 O 0.446 0.608 0.138
O12 O 0.469 0.541 0.343
# Calculated volume: 13.670 Å³ per atom
# Energy above the lowest structure with this stoichiometry: 55 kJ/mol of formula units
# Formation energy from the elements: -45.61 eV/f.u.
# M_tot: 0.000 μB per atom

# GGA-PBE Li3BiP2O8, relaxed
data_Li3BiP2O8
_space_group_name_H-M_alt 'P 1 21/c 1'
_space_group_IT_number 14
_space_group_name_Hall '-P 2ybc'
_cell_length_a 19.395
_cell_length_b 5.388
_cell_length_c 12.980
_cell_angle_alpha 90.00
_cell_angle_beta 109.12
_cell_angle_gamma 90.00
loop_
_atom_site_label
_atom_site_type_symbol
_atom_site_fract_x
_atom_site_fract_y
_atom_site_fract_z
Li1 Li 0.053 0.159 0.185
Li2 Li 0.130 0.670 0.302
Li3 Li 0.197 0.211 0.940
Li4 Li 0.308 0.684 0.744
Li5 Li 0.379 0.186 0.182
Li6 Li 0.438 0.665 0.125
Bi1 Bi 0.117 0.677 0.040
Bi2 Bi 0.382 0.181 0.920
P1 P 0.035 0.224 0.909
P2 P 0.211 0.202 0.202
P3 P 0.288 0.705 0.985
P4 P 0.467 0.728 0.876
O1 O 0.036 0.235 0.528
O2 O 0.045 0.719 0.668
O3 O 0.070 0.529 0.394
O4 O 0.080 0.065 0.378
O5 O 0.168 0.168 0.767
O6 O 0.188 0.188 0.585
O7 O 0.198 0.585 0.697
O8 O 0.206 0.711 0.462
O9 O 0.293 0.083 0.480
O10 O 0.296 0.232 0.251
O11 O 0.311 0.680 0.391
O12 O 0.337 0.692 0.597
O13 O 0.426 0.010 0.322
O14 O 0.430 0.548 0.303
O15 O 0.452 0.203 0.619
O16 O 0.465 0.734 0.493
# Calculated volume: 11.444 Å³ per atom
# Energy above the lowest structure with this stoichiometry: 22 kJ/mol of formula units
# Formation energy from the elements: -35.67 eV/f.u.
# M_tot: 0.000 μB per atom

# GGA-PBE LiBiP4O12, relaxed
data_LiBiP4O12
_space_group_name_H-M_alt 'P 1 21 1'
_space_group_IT_number 4
_space_group_name_Hall 'P 2yb'
_cell_length_a 7.476
_cell_length_b 9.004
_cell_length_c 8.388
_cell_angle_alpha 90.00
_cell_angle_beta 95.88
_cell_angle_gamma 90.00
loop_
_atom_site_label
_atom_site_type_symbol
_atom_site_fract_x
_atom_site_fract_y
_atom_site_fract_z
Li1 Li 0.196 0.000 0.356
Bi1 Bi 0.239 0.778 0.814
P1 P 0.066 0.542 0.445
P2 P 0.072 0.171 0.867
P3 P 0.320 0.335 0.282
P4 P 0.363 0.398 0.944
O1 O 0.037 0.671 0.311
O2 O 0.058 0.728 0.023
O3 O 0.098 0.943 0.561
O4 O 0.119 0.613 0.603
O5 O 0.167 0.027 0.903
O6 O 0.215 0.301 0.837
O7 O 0.221 0.192 0.280
O8 O 0.240 0.455 0.397
O9 O 0.277 0.420 0.112
O10 O 0.371 0.546 0.864
O11 O 0.463 0.812 0.028
O12 O 0.479 0.836 0.669
# Calculated volume: 15.602 Å³ per atom
# Energy above the lowest structure with this stoichiometry: 96 kJ/mol of formula units
# Formation energy from the elements: -45.19 eV/f.u.
# M_tot: 0.000 μB per atom